Mn3Co4P6H4O24 (PBE with a Hubbard U, relaxed); uncorrected energy = -6.914 eV/atom; space group = P-1; ρ = 3.61 g/cm3; calculated volume = 10.93 Å³/atom
1.0
-5.515 -3.576 0.609
0.162 1.348 -7.930
7.649 -5.702 1.666
Co P O H Mn
4 6 24 4 3
Direct
0.054 0.210 0.016
0.387 0.957 0.607
0.613 0.043 0.393
0.946 0.790 0.984
0.414 0.739 0.871
0.909 0.917 0.673
0.586 0.261 0.129
0.226 0.649 0.276
0.091 0.083 0.327
0.774 0.351 0.724
0.735 0.441 0.260
0.221 0.693 0.441
0.696 0.962 0.587
0.304 0.038 0.413
0.119 0.031 0.663
0.981 0.326 0.840
0.273 0.798 0.973
0.881 0.969 0.337
0.796 0.561 0.777
0.879 0.713 0.601
0.727 0.202 0.027
0.521 0.109 0.189
0.552 0.251 0.728
0.265 0.559 0.740
0.058 0.043 0.153
0.779 0.307 0.559
0.942 0.957 0.847
0.622 0.715 0.987
0.378 0.285 0.013
0.448 0.749 0.272
0.121 0.287 0.399
0.479 0.891 0.811
0.204 0.439 0.223
0.019 0.674 0.160
0.182 0.379 0.306
0.369 0.919 0.061
0.818 0.621 0.694
0.631 0.081 0.939
0.000 0.500 0.500
0.720 0.689 0.215
0.280 0.311 0.785

=====

Li3Fe8B8O24 (PBE with a Hubbard U, relaxed); space group = P1; excess energy over the best structure of this formula in the dataset = 5 meV/atom; ρ = 3.23 g/cm3; calculated volume = 11.22 Å³/atom
1.0
-5.220 0.000 0.000
-0.085 -9.115 0.000
2.599 4.460 10.143
O Fe B Li
24 8 8 3
Direct
0.756 0.171 0.323
0.149 0.492 0.915
0.386 0.792 0.179
0.019 0.095 0.858
0.893 0.297 0.173
0.261 0.679 0.349
0.743 0.349 0.681
0.124 0.691 0.822
0.852 0.508 0.092
0.367 0.984 0.083
0.234 0.832 0.659
0.849 0.791 0.359
0.620 0.230 0.848
0.976 0.910 0.133
0.655 0.027 0.932
0.468 0.377 0.104
0.539 0.603 0.894
0.465 0.076 0.418
0.091 0.182 0.628
0.638 0.702 0.640
0.040 0.411 0.572
0.572 0.929 0.584
0.952 0.577 0.431
0.371 0.305 0.371
0.771 0.443 0.875
0.025 0.352 0.375
0.510 0.854 0.382
0.260 0.927 0.879
0.461 0.162 0.621
0.253 0.556 0.140
0.981 0.642 0.631
0.736 0.072 0.123
0.273 0.595 0.876
0.482 0.816 0.627
0.019 0.685 0.381
0.771 0.116 0.880
0.526 0.186 0.369
0.962 0.312 0.627
0.735 0.396 0.124
0.238 0.897 0.133
0.761 0.748 0.156
0.979 0.002 0.658
0.293 0.277 0.914

=====

Na4MgCo2O6 (PBE with a Hubbard U, relaxed); space group = Cm; excess energy over the best structure of this formula in the dataset = 61 meV/atom; ρ = 3.11 g/cm3; calculated volume = 13.58 Å³/atom
1.0
5.418 -2.099 -1.865
3.726 3.938 -3.593
2.287 1.741 4.139
O Na Mg Co
6 4 1 2
Direct
0.185 0.260 0.444
0.445 0.740 0.444
0.544 0.248 0.006
0.169 0.000 0.947
0.792 0.752 0.006
0.875 0.000 0.432
0.854 0.662 0.508
0.492 0.610 0.983
0.102 0.390 0.983
0.516 0.338 0.508
0.442 0.000 0.181
0.156 0.000 0.566
0.856 0.000 0.044

=====

Fe10O9F11 (PBE with a Hubbard U, relaxed); space group = P1; excess energy over the best structure of this formula in the dataset = 15 meV/atom; ρ = 4.31 g/cm3; calculated volume = 11.70 Å³/atom
1.0
-2.840 1.072 -3.636
-2.671 -3.692 1.297
-8.336 9.362 9.376
Fe O F
10 9 11
Direct
0.979 0.960 0.408
0.053 0.000 0.601
0.009 0.991 0.993
0.023 0.972 0.798
0.475 0.520 0.497
0.504 0.498 0.102
0.005 0.006 0.200
0.515 0.509 0.291
0.475 0.524 0.914
0.481 0.504 0.696
0.304 0.300 0.202
0.678 0.681 0.395
0.699 0.702 0.005
0.196 0.815 0.702
0.190 0.807 0.899
0.299 0.302 0.005
0.314 0.310 0.589
0.189 0.805 0.498
0.709 0.705 0.200
0.710 0.716 0.592
0.800 0.196 0.897
0.197 0.809 0.103
0.806 0.188 0.302
0.800 0.197 0.497
0.286 0.289 0.394
0.812 0.194 0.102
0.189 0.803 0.301
0.813 0.194 0.702
0.691 0.695 0.807
0.299 0.306 0.808

=====

KVSO6 (PBE with a Hubbard U, relaxed); uncorrected energy = -6.445 eV/atom; space group = P2_12_12_1; ρ = 2.68 g/cm3; calculated volume = 15.03 Å³/atom
1.0
5.558 0.000 0.000
0.000 8.641 0.000
0.000 0.000 11.266
O S V K
24 4 4 4
Direct
0.826 0.783 0.509
0.698 0.936 0.714
0.989 0.646 0.104
0.993 0.491 0.506
0.892 0.394 0.192
0.674 0.217 0.009
0.198 0.564 0.286
0.007 0.991 0.994
0.791 0.630 0.300
0.174 0.283 0.991
0.011 0.146 0.396
0.209 0.130 0.200
0.511 0.354 0.604
0.493 0.009 0.494
0.507 0.509 0.006
0.489 0.854 0.896
0.291 0.870 0.700
0.802 0.064 0.214
0.108 0.894 0.308
0.326 0.717 0.491
0.709 0.370 0.800
0.302 0.436 0.786
0.608 0.606 0.692
0.392 0.106 0.808
0.533 0.446 0.711
0.033 0.054 0.289
0.467 0.946 0.789
0.967 0.554 0.211
0.468 0.346 0.937
0.032 0.654 0.437
0.532 0.846 0.563
0.968 0.154 0.063
0.973 0.690 0.860
0.027 0.190 0.640
0.473 0.810 0.140
0.527 0.310 0.360

=====

Sr3Ca5Mn8O23 (PBE with a Hubbard U, relaxed); space group = Pm; excess energy over the best structure of this formula in the dataset = 0 meV/atom; ρ = 4.65 g/cm3; calculated volume = 11.63 Å³/atom
1.0
-5.605 -5.183 -1.234
-0.627 -1.135 7.540
-5.245 5.576 0.403
Mn O Sr Ca
8 23 3 5
Direct
0.504 0.999 0.000
0.000 0.506 0.499
0.504 0.999 0.500
0.502 0.506 0.501
0.995 0.992 0.516
0.995 0.992 0.984
0.502 0.506 0.999
0.000 0.506 0.001
0.751 0.522 0.978
0.251 0.499 0.484
0.251 0.499 0.016
0.013 0.756 0.064
0.979 0.246 0.533
0.246 0.013 0.992
0.755 0.982 0.455
0.491 0.471 0.750
0.476 0.960 0.250
0.751 0.522 0.522
0.487 0.754 0.546
0.013 0.756 0.436
0.487 0.754 0.954
0.541 0.036 0.750
0.246 0.013 0.508
0.988 0.458 0.250
0.511 0.252 0.029
0.518 0.541 0.250
0.511 0.252 0.471
0.755 0.982 0.045
0.978 0.930 0.750
0.979 0.246 0.967
0.019 0.546 0.750
0.262 0.254 0.250
0.249 0.255 0.750
0.745 0.255 0.250
0.742 0.276 0.750
0.264 0.736 0.250
0.751 0.744 0.250
0.730 0.742 0.750
0.255 0.743 0.750

=====

Sr6La14Mn17Sn3O60 (PBE with a Hubbard U, relaxed); uncorrected energy = -7.597 eV/atom; space group = P1; ρ = 6.25 g/cm3; calculated volume = 12.55 Å³/atom
1.0
4.870 -0.015 2.750
1.607 4.584 2.727
-0.101 -0.355 55.963
O La Mn Sr Sn
60 14 17 6 3
Direct
0.186 0.311 0.675
0.355 0.760 0.015
0.270 0.815 0.966
0.186 0.315 0.574
0.706 0.250 0.580
0.345 0.749 0.217
0.320 0.759 0.116
0.747 0.189 0.731
0.307 0.750 0.719
0.157 0.335 0.075
0.188 0.312 0.775
0.244 0.820 0.369
0.175 0.319 0.475
0.736 0.188 0.133
0.675 0.237 0.285
0.677 0.246 0.483
0.308 0.745 0.620
0.671 0.247 0.081
0.173 0.317 0.376
0.838 0.653 0.227
0.261 0.794 0.869
0.246 0.822 0.468
0.759 0.148 0.235
0.817 0.679 0.524
0.314 0.751 0.518
0.750 0.208 0.929
0.794 0.705 0.724
0.680 0.240 0.384
0.748 0.173 0.433
0.801 0.706 0.825
0.747 0.197 0.031
0.709 0.247 0.779
0.235 0.814 0.270
0.171 0.310 0.276
0.197 0.319 0.873
0.745 0.174 0.533
0.308 0.752 0.319
0.747 0.185 0.632
0.826 0.698 0.027
0.667 0.233 0.185
0.320 0.755 0.917
0.250 0.809 0.067
0.797 0.700 0.624
0.804 0.708 0.925
0.187 0.338 0.973
0.755 0.191 0.830
0.698 0.258 0.978
0.252 0.796 0.671
0.250 0.811 0.168
0.317 0.753 0.418
0.315 0.755 0.818
0.801 0.683 0.128
0.712 0.257 0.877
0.255 0.811 0.569
0.173 0.329 0.176
0.821 0.675 0.425
0.705 0.249 0.679
0.253 0.796 0.770
0.746 0.173 0.334
0.818 0.674 0.326
0.247 0.231 0.228
0.748 0.749 0.676
0.742 0.758 0.072
0.747 0.748 0.377
0.745 0.748 0.477
0.243 0.245 0.327
0.743 0.735 0.279
0.247 0.247 0.427
0.751 0.752 0.775
0.241 0.245 0.528
0.753 0.754 0.174
0.766 0.770 0.969
0.757 0.755 0.872
0.741 0.743 0.579
0.002 0.003 0.799
0.995 0.999 0.601
0.496 0.491 0.252
0.504 0.505 0.849
0.499 0.497 0.651
0.497 0.497 0.451
0.501 0.495 0.551
0.512 0.512 0.947
0.009 0.008 0.898
0.502 0.508 0.048
0.493 0.504 0.150
0.494 0.496 0.352
0.996 0.997 0.401
0.501 0.499 0.750
0.992 0.995 0.302
0.000 0.999 0.700
0.994 0.999 0.501
0.247 0.244 0.627
0.263 0.266 0.921
0.245 0.253 0.124
0.262 0.258 0.022
0.253 0.253 0.824
0.250 0.249 0.725
0.004 0.990 0.201
0.992 0.004 0.099
0.013 0.008 0.998

=====

Rb6Co2O7 (PBE with a Hubbard U, relaxed); space group = P-3; excess energy over the best structure of this formula in the dataset = 31 meV/atom; ρ = 3.03 g/cm3; calculated volume = 27.12 Å³/atom
1.0
6.408 0.458 -7.245
-7.199 6.456 0.511
5.800 6.031 5.511
Rb Co O
12 4 14
Direct
0.610 0.648 0.373
0.038 0.390 0.373
0.352 0.962 0.373
0.661 0.032 0.124
0.648 0.038 0.627
0.962 0.610 0.627
0.370 0.339 0.124
0.968 0.630 0.124
0.630 0.661 0.876
0.032 0.370 0.876
0.390 0.352 0.627
0.339 0.968 0.876
0.667 0.333 0.935
0.333 0.667 0.065
0.667 0.333 0.316
0.333 0.667 0.684
0.690 0.170 0.879
0.667 0.333 0.127
0.170 0.480 0.121
0.333 0.667 0.873
0.520 0.690 0.121
0.310 0.830 0.121
0.476 0.301 0.373
0.175 0.476 0.627
0.524 0.699 0.627
0.830 0.520 0.879
0.825 0.524 0.373
0.301 0.825 0.627
0.480 0.310 0.879
0.699 0.175 0.373

=====

RbVOF3 (PBE with a Hubbard U, relaxed); uncorrected energy = -5.805 eV/atom; space group = Pbam; ρ = 3.38 g/cm3; calculated volume = 17.14 Å³/atom
1.0
-1.421 -2.694 2.527
-1.141 -5.633 -6.647
10.930 -4.193 1.677
V O F Rb
4 4 12 4
Direct
0.000 0.808 0.483
0.000 0.192 0.517
0.000 0.308 0.017
0.000 0.692 0.983
0.000 0.157 0.935
0.000 0.657 0.565
0.000 0.343 0.435
0.000 0.843 0.065
0.000 0.733 0.331
0.000 0.233 0.169
0.000 0.267 0.669
0.000 0.469 0.897
0.500 0.667 0.967
0.500 0.333 0.033
0.000 0.031 0.397
0.500 0.833 0.467
0.000 0.531 0.103
0.000 0.969 0.603
0.500 0.167 0.533
0.000 0.767 0.831
0.500 0.009 0.782
0.500 0.991 0.218
0.500 0.509 0.718
0.500 0.491 0.282

=====

NaFeO2 (PBE with a Hubbard U, relaxed); uncorrected energy = -5.817 eV/atom; ρ = 4.21 g/cm3; calculated volume = 10.93 Å³/atom
1.0
4.175 -3.164 -0.730
0.704 2.233 -5.653
4.651 2.802 1.686
Na Fe O
4 4 8
Direct
0.500 0.500 0.500
0.000 0.750 0.500
0.000 0.250 0.500
0.500 0.000 0.500
0.500 0.750 0.000
0.000 0.000 0.000
0.500 0.250 0.000
0.000 0.500 0.000
0.766 0.250 0.201
0.234 0.750 0.799
0.734 0.500 0.799
0.266 0.500 0.201
0.734 0.000 0.799
0.234 0.250 0.799
0.766 0.750 0.201
0.266 0.000 0.201

=====

Which of these has the lowest ρ? KVSO6